Entry 1:
The following is a DFT calculation (PBE with a Hubbard U) of an optimized crystal structure of La3BWO9.

Calculated values
- space group = No. 173
- raw total energy (eV/atom) = -8.27
- DFT formation energy (eV/f.u.) = -47.435

Cell lengths 8.926, 8.926, 5.681 Å; angles 90.00, 90.00, 120.00 degrees
Element x y z (fractional)
O: 0.951 0.125 0.876
O: 0.477 0.616 0.473
O: 0.875 0.826 0.876
O: 0.384 0.861 0.473
O: 0.800 0.529 0.549
O: 0.471 0.271 0.549
O: 0.049 0.875 0.376
O: 0.200 0.471 0.049
O: 0.529 0.729 0.049
O: 0.125 0.174 0.376
O: 0.271 0.800 0.049
O: 0.523 0.384 0.973
O: 0.174 0.049 0.876
O: 0.616 0.139 0.973
O: 0.729 0.200 0.549
O: 0.861 0.477 0.973
O: 0.139 0.523 0.473
O: 0.826 0.951 0.376
La: 0.723 0.641 0.217
La: 0.359 0.082 0.217
La: 0.918 0.277 0.217
La: 0.277 0.359 0.717
La: 0.641 0.918 0.717
La: 0.082 0.723 0.717
B: 0.000 0.000 0.883
B: 0.000 0.000 0.383
W: 0.667 0.333 0.754
W: 0.333 0.667 0.254

Entry 2:
The following is a DFT calculation (PBE with a Hubbard U) of an optimized crystal structure of Li5Mn6B6O18.

Calculated values
- space group = No. 1
- raw total energy (eV/atom) = -7.37
- energy relative to the lowest polymorph listed for this composition (meV/atom) = 7
- DFT formation energy (eV/f.u.) = -86.638

Cell lengths 8.284, 8.802, 12.649 Å; angles 70.17, 71.24, 62.21 degrees
Element x y z (fractional)
O: 0.558 0.522 0.341
O: 0.911 0.402 0.800
O: 0.850 0.065 0.523
O: 0.533 0.558 0.704
O: 0.575 0.299 0.264
O: 0.520 0.069 0.183
O: 0.915 0.164 0.744
O: 0.246 0.792 0.431
O: 0.204 0.406 0.475
O: 0.610 0.535 0.996
O: 0.520 0.813 0.440
O: 0.906 0.904 0.301
O: 0.871 0.947 0.985
O: 0.268 0.288 0.912
O: 0.533 0.327 0.922
O: 0.222 0.770 0.757
O: 0.176 0.938 0.956
O: 0.561 0.025 0.831
O: 0.541 0.258 0.599
O: 0.558 0.763 0.085
O: 0.216 0.262 0.261
O: 0.937 0.643 0.551
O: 0.869 0.564 0.019
O: 0.863 0.806 0.773
O: 0.911 0.152 0.051
O: 0.269 0.526 0.688
O: 0.177 0.658 0.241
O: 0.215 0.021 0.510
O: 0.250 0.040 0.174
O: 0.204 0.184 0.722
O: 0.894 0.462 0.465
O: 0.584 0.782 0.773
O: 0.223 0.502 0.008
O: 0.874 0.700 0.228
O: 0.856 0.313 0.269
O: 0.582 0.027 0.520
B: 0.328 0.124 0.206
B: 0.988 0.753 0.256
B: 0.339 0.375 0.949
B: 0.988 0.011 0.998
B: 0.664 0.377 0.291
B: 0.660 0.114 0.547
B: 0.012 0.502 0.497
B: 0.340 0.621 0.716
B: 0.327 0.876 0.460
B: 0.673 0.869 0.792
B: 0.009 0.251 0.755
B: 0.679 0.623 0.033
Li: 0.301 0.160 0.559
Li: 0.977 0.103 0.200
Li: 0.714 0.617 0.368
Li: 0.294 0.410 0.307
Li: 0.980 0.353 0.948
Li: 0.993 0.592 0.703
Li: 0.980 0.855 0.448
Li: 0.292 0.925 0.800
Li: 0.726 0.115 0.866
Li: 0.710 0.864 0.120
Mn: 0.355 0.753 0.250
Mn: 0.648 0.746 0.584
Mn: 0.618 0.023 0.340
Mn: 0.621 0.275 0.091
Mn: 0.388 0.259 0.751
Mn: 0.354 0.994 0.001
Mn: 0.022 0.727 0.914
Mn: 0.364 0.509 0.502
Mn: 0.615 0.530 0.842
Mn: 0.998 0.230 0.412
Mn: 0.006 0.975 0.656
Mn: 0.015 0.476 0.160

Entry 3:
The following is a DFT calculation (PBE with a Hubbard U) of an optimized crystal structure of Li2Mn3B3O9.

Calculated values
- space group = No. 1
- raw total energy (eV/atom) = -7.41
- energy relative to the lowest polymorph listed for this composition (meV/atom) = 32
- DFT formation energy (eV/f.u.) = -41.321

Cell lengths 8.275, 8.849, 12.638 Å; angles 69.82, 71.04, 62.38 degrees
Element x y z (fractional)
O: 0.811 0.553 0.542
O: 0.144 0.964 0.484
O: 0.486 0.212 0.569
O: 0.442 0.198 0.223
O: 0.145 0.202 0.235
O: 0.462 0.911 0.472
O: 0.416 0.479 0.661
O: 0.106 0.377 0.443
O: 0.793 0.421 0.304
O: 0.078 0.340 0.761
O: 0.787 0.078 0.025
O: 0.425 0.968 0.171
O: 0.440 0.685 0.734
O: 0.783 0.684 0.062
O: 0.779 0.928 0.815
O: 0.083 0.876 0.942
O: 0.152 0.467 0.989
O: 0.468 0.715 0.088
O: 0.821 0.840 0.256
O: 0.471 0.406 0.979
O: 0.076 0.067 0.039
O: 0.106 0.603 0.208
O: 0.404 0.224 0.913
O: 0.792 0.179 0.565
O: 0.393 0.731 0.403
O: 0.722 0.483 0.006
O: 0.472 0.952 0.823
O: 0.105 0.827 0.277
O: 0.101 0.095 0.710
O: 0.085 0.595 0.526
O: 0.799 0.306 0.774
O: 0.139 0.709 0.732
O: 0.745 0.730 0.741
O: 0.479 0.472 0.307
O: 0.738 0.236 0.230
O: 0.753 0.983 0.489
Mn: 0.638 0.023 0.345
Mn: 0.648 0.523 0.843
Mn: 0.635 0.779 0.592
Mn: 0.993 0.241 0.412
Mn: 0.622 0.296 0.096
Mn: 0.994 0.724 0.910
Mn: 0.360 0.238 0.745
Mn: 0.354 0.990 0.998
Mn: 0.996 0.975 0.658
Mn: 0.394 0.739 0.248
Mn: 0.372 0.483 0.498
Mn: 0.999 0.481 0.158
Li: 0.279 0.412 0.298
Li: 0.694 0.136 0.883
Li: 0.028 0.840 0.441
Li: 0.277 0.897 0.803
Li: 0.014 0.084 0.196
Li: 0.698 0.386 0.632
Li: 0.015 0.589 0.692
Li: 0.708 0.889 0.130
B: 0.675 0.125 0.541
B: 0.011 0.755 0.246
B: 0.333 0.624 0.709
B: 0.660 0.628 0.052
B: 0.993 0.247 0.748
B: 0.338 0.365 0.961
B: 0.665 0.871 0.794
B: 0.000 0.507 0.503
B: 0.334 0.872 0.453
B: 0.982 0.008 0.002
B: 0.335 0.123 0.210
B: 0.672 0.378 0.282